# SbO2

An optimized crystal structure of SbO2 (PBE, the Materials Project database).

Cell lengths 7.2280, 7.2280, 7.2280 Å; angles 53.65, 53.65, 53.65 degrees
With the nearest neighbours (Å) after each atom.
Positions (direct):
Sb: 0.2337 0.2337 0.2337  3 O 2.10
Sb: 0.6299 0.1071 0.6299  6 O 2.01-2.24
Sb: 0.6299 0.6299 0.1071  6 O 2.01-2.24
Sb: 0.1071 0.6299 0.6299  6 O 2.01-2.24
O: 0.8496 0.3506 0.3506  3 Sb 2.10-2.24
O: 0.3506 0.3506 0.8496  3 Sb 2.10-2.24
O: 0.3506 0.8496 0.3506  3 Sb 2.10-2.24
O: 0.4101 0.4101 0.4101  3 Sb 2.14
O: 0.8537 0.8537 0.8537  3 Sb 2.16
O: 0.8857 0.4360 0.8857  2 Sb 2.01
O: 0.8857 0.8857 0.4360  2 Sb 2.01
O: 0.4360 0.8857 0.8857  2 Sb 2.01

Properties
Calculated volume, Å³/f.u.: 56.8
Total energy after the MP2020 corrections, eV per cell: -74.36